r2SCAN Co2Ge3Te3, relaxed; symmetry = R-3, No. 148; volume = 20.7 Å³/atom; ΔE_f = -0.16 eV per atom; total moment = 0.000 μB/cell
1.0
0.3310 8.5147 -1.8065
-5.4694 1.6108 6.5852
6.7706 0.8852 5.4082
Co Ge Te
8 12 12
Cartesian
0.3995 2.6949 2.4932 Co
1.2328 8.3158 7.6936 Co
3.9512 7.4097 4.3350 Co
1.0388 3.9810 8.5077 Co
-2.1467 7.7891 4.9021 Co
-2.3189 3.6009 5.8518 Co
0.5935 7.0296 1.6792 Co
3.7789 3.2216 5.2847 Co
-4.2172 4.4761 6.8845 Ge
1.5851 9.0361 1.0259 Ge
5.0525 2.8147 7.1949 Ge
5.8495 6.5346 3.3023 Ge
0.0472 1.9745 9.1609 Ge
-3.4202 8.1959 2.9920 Ge
-0.2131 8.0815 3.6162 Ge
3.8956 5.5248 5.7213 Ge
-0.9838 4.5981 7.5048 Ge
1.8453 2.9292 6.5706 Ge
-2.2633 5.4858 4.4655 Ge
2.6161 6.4126 2.6820 Ge
0.4203 5.2945 10.5680 Te
-2.0011 10.1855 5.6695 Te
5.1649 8.6968 6.1303 Te
1.2120 5.7161 -0.3812 Te
3.6334 0.8252 4.5173 Te
-3.5326 2.3138 4.0565 Te
1.9011 8.5781 5.2967 Te
2.3469 6.0867 7.9181 Te
-0.9892 7.3173 7.1225 Te
-0.2688 2.4326 4.8901 Te
-0.7146 4.9239 2.2687 Te
2.6215 3.6933 3.0643 Te